Li9Mn2Co5O16 PBE+U relaxed; total magnetization = 6.00 μB/cell; energy above the most stable polymorph in this dataset = 0.0548 eV/atom; ΔE_f = -5586 kJ/mol of formula units
1.0
2.892 9.763 0.000
-2.892 9.763 0.000
0.000 0.792 5.124
O Co Li Mn
16 5 9 2
direct
0.209 0.671 0.395
0.445 0.942 0.885
0.070 0.070 0.122
0.930 0.930 0.878
0.671 0.209 0.395
0.791 0.329 0.605
0.555 0.058 0.115
0.442 0.442 0.838
0.329 0.791 0.605
0.683 0.683 0.349
0.317 0.317 0.651
0.187 0.187 0.364
0.813 0.813 0.636
0.942 0.445 0.885
0.558 0.558 0.162
0.058 0.555 0.115
0.874 0.367 0.265
0.500 0.500 0.500
0.367 0.874 0.265
0.126 0.633 0.735
0.633 0.126 0.735
0.500 0.000 0.500
0.000 0.000 0.500
0.754 0.246 0.000
0.623 0.623 0.750
0.377 0.377 0.250
0.121 0.121 0.749
0.879 0.879 0.251
0.246 0.754 0.000
0.000 0.500 0.500
0.751 0.751 0.996
0.249 0.249 0.004

=====

CrIrO6 PBE+U relaxed; total magnetization = 0.06 μB/cell; ΔE_f = -866 kJ/mol of formula units
1.0
5.130 0.000 0.000
0.000 4.950 0.000
0.000 4.939 7.145
O Ir Cr
12 2 2
direct
0.522 0.354 0.755
0.191 0.252 0.554
0.298 0.871 0.446
0.022 0.646 0.745
0.309 0.252 0.054
0.978 0.354 0.255
0.478 0.646 0.245
0.702 0.129 0.554
0.202 0.871 0.946
0.691 0.748 0.946
0.798 0.129 0.054
0.809 0.748 0.446
0.000 0.500 0.000
0.500 0.500 0.500
0.000 0.000 0.500
0.500 0.000 0.000

=====

Fe5OF11 PBE+U relaxed; total magnetization = 23.00 μB/cell; energy above the most stable polymorph in this dataset = 0.8711 eV/atom; ΔE_f = -2579 kJ/mol of formula units
1.0
-5.217 0.000 0.000
2.503 4.950 0.000
-0.061 -2.901 -8.714
F Fe O
11 5 1
direct
0.406 0.851 0.335
0.547 0.101 0.594
0.467 0.442 0.278
0.933 0.635 0.544
0.963 0.888 0.793
0.902 0.342 0.842
0.475 0.164 0.026
0.531 0.706 0.968
0.877 0.966 0.203
0.043 0.606 0.086
0.419 0.480 0.727
0.469 0.795 0.139
0.181 0.021 0.398
0.731 0.525 0.913
0.498 0.514 0.500
0.965 0.247 0.663
0.081 0.244 0.492

=====

CaMoO3 PBE+U relaxed; total magnetization = 8.00 μB/cell; ΔE_f = -1264 kJ/mol of formula units
1.0
5.526 0.000 0.000
0.000 5.751 0.000
0.000 0.085 7.915
O Mo Ca
12 4 4
direct
0.303 0.311 0.049
0.195 0.795 0.444
0.697 0.689 0.951
0.803 0.189 0.951
0.900 0.458 0.250
0.695 0.705 0.556
0.400 0.042 0.750
0.100 0.542 0.750
0.197 0.811 0.049
0.600 0.958 0.250
0.305 0.295 0.444
0.805 0.205 0.556
0.000 0.500 0.000
0.500 0.000 0.500
0.000 0.500 0.500
0.500 0.000 0.000
0.012 0.051 0.246
0.488 0.551 0.246
0.988 0.949 0.754
0.512 0.449 0.754

=====

Li2Fe3CoO8 PBE+U relaxed; total magnetization = 60.00 μB/cell; energy above the most stable polymorph in this dataset = 0.1199 eV/atom; ΔE_f = -2063 kJ/mol of formula units
1.0
-1.502 7.113 -3.575
-7.474 -0.008 3.124
2.739 3.877 6.564
O Co Fe Li
32 4 12 8
direct
0.389 0.389 0.389
0.609 0.111 0.892
0.861 0.141 0.142
0.861 0.861 0.861
0.392 0.891 0.889
0.639 0.859 0.642
0.858 0.361 0.359
0.642 0.639 0.859
0.139 0.361 0.639
0.141 0.142 0.861
0.639 0.139 0.361
0.892 0.609 0.111
0.111 0.892 0.609
0.389 0.108 0.109
0.889 0.392 0.891
0.859 0.642 0.639
0.108 0.109 0.389
0.109 0.389 0.108
0.361 0.639 0.139
0.359 0.858 0.361
0.142 0.861 0.141
0.608 0.391 0.611
0.641 0.358 0.139
0.891 0.889 0.392
0.889 0.111 0.611
0.391 0.611 0.608
0.111 0.611 0.889
0.611 0.608 0.391
0.611 0.889 0.111
0.358 0.139 0.641
0.139 0.641 0.358
0.361 0.359 0.858
0.375 0.125 0.875
0.625 0.625 0.625
0.125 0.875 0.375
0.875 0.375 0.125
0.124 0.126 0.625
0.624 0.374 0.375
0.374 0.375 0.624
0.126 0.625 0.124
0.875 0.876 0.626
0.375 0.624 0.374
0.626 0.875 0.876
0.874 0.125 0.376
0.625 0.124 0.126
0.876 0.626 0.875
0.125 0.376 0.874
0.376 0.874 0.125
0.251 0.751 0.749
0.749 0.251 0.751
0.501 0.499 0.999
0.999 0.501 0.499
0.499 0.999 0.501
0.249 0.249 0.249
0.001 0.001 0.001
0.751 0.749 0.251

=====

Li2Al2CrSbO8 PBE+U relaxed; total magnetization = 6.00 μB/cell; ΔE_f = -3630 kJ/mol of formula units
1.0
2.922 5.031 0.000
-2.922 5.031 0.000
0.000 0.042 9.555
Al O Sb Li Cr
4 16 2 4 2
direct
0.660 0.171 0.259
0.171 0.660 0.259
0.830 0.830 0.759
0.171 0.171 0.259
0.837 0.329 0.147
0.523 0.966 0.888
0.329 0.837 0.147
0.163 0.163 0.637
0.482 0.037 0.382
0.966 0.523 0.888
0.676 0.676 0.654
0.483 0.483 0.383
0.334 0.334 0.159
0.037 0.482 0.382
0.000 0.000 0.340
0.517 0.517 0.891
0.158 0.670 0.642
0.670 0.158 0.642
0.836 0.836 0.148
0.990 0.990 0.849
0.668 0.668 0.035
0.333 0.333 0.529
0.332 0.332 0.948
0.998 0.998 0.530
0.668 0.668 0.444
0.000 0.000 0.035
0.830 0.340 0.758
0.340 0.830 0.758

=====

MgFe2O2F2 PBE+U relaxed; total magnetization = 8.00 μB/cell; energy above the most stable polymorph in this dataset = 0.0833 eV/atom; ΔE_f = -1532 kJ/mol of formula units
1.0
5.513 0.532 0.000
0.538 5.381 0.000
0.000 0.000 3.091
Fe F O Mg
2 2 2 1
direct
0.016 0.140 0.000
0.475 0.444 0.500
0.643 0.704 0.000
0.237 0.785 0.500
0.354 0.211 0.000
0.788 0.176 0.500
0.530 0.956 0.500

=====

Ti3Mn2Cr3O16 PBE+U relaxed; total magnetization = 12.00 μB/cell; ΔE_f = -5630 kJ/mol of formula units
1.0
-0.827 4.376 3.816
-3.389 -4.811 0.285
5.943 -3.803 5.501
O Cr Mn Ti
16 3 2 3
direct
0.674 0.337 0.096
0.949 0.474 0.347
0.521 0.052 0.341
0.470 0.952 0.845
0.473 0.525 0.839
0.826 0.174 0.608
0.178 0.343 0.106
0.339 0.179 0.606
0.177 0.832 0.107
0.654 0.826 0.105
0.000 0.001 0.313
0.826 0.658 0.602
0.050 0.521 0.840
0.326 0.673 0.598
0.006 0.998 0.811
0.519 0.470 0.341
0.332 0.165 0.200
0.181 0.835 0.716
0.165 0.331 0.700
0.664 0.334 0.483
0.334 0.664 0.982
0.830 0.165 0.211
0.830 0.665 0.212
0.676 0.826 0.705

=====

BaSr3Mn4O12 PBE+U relaxed; total magnetization = 12.00 μB/cell; ΔE_f = -4764 kJ/mol of formula units
1.0
2.796 -4.843 0.000
2.796 4.843 0.000
0.000 0.000 9.336
Mn O Sr Ba
4 12 3 1
direct
0.333 0.667 0.638
0.667 0.333 0.863
0.333 0.667 0.362
0.667 0.333 0.137
0.634 0.817 0.500
0.818 0.182 0.000
0.498 0.502 0.246
0.364 0.182 0.000
0.818 0.636 0.000
0.004 0.502 0.246
0.498 0.502 0.754
0.004 0.502 0.754
0.498 0.996 0.246
0.498 0.996 0.754
0.183 0.366 0.500
0.183 0.817 0.500
0.000 0.000 0.752
0.000 0.000 0.248
0.333 0.667 0.000
0.667 0.333 0.500

=====

Ta2Mo2O5 PBE+U relaxed; total magnetization = 0.00 μB/cell; ΔE_f = -870 kJ/mol of formula units
1.0
-2.417 2.286 0.901
-1.822 -2.515 1.495
4.094 1.421 7.379
Mo O Ta
2 5 2
direct
0.500 0.500 0.812
0.500 0.500 0.188
0.500 0.500 0.500
0.000 0.500 0.321
0.000 0.500 0.679
0.500 0.000 0.321
0.500 0.000 0.679
0.000 0.000 0.000
0.000 0.000 0.500

=====

V2PO5 PBE+U relaxed; ΔE_f = -2011 kJ/mol of formula units
1.0
5.087 0.000 -2.022
-0.804 5.023 -2.022
-0.008 -0.010 7.389
O V P
10 4 2
direct
0.295 0.808 0.116
0.705 0.192 0.884
0.179 0.192 0.884
0.808 0.821 0.616
0.808 0.295 0.616
0.375 0.625 0.750
0.625 0.375 0.250
0.192 0.705 0.384
0.821 0.808 0.116
0.192 0.179 0.384
0.000 0.500 0.500
0.500 0.000 0.000
0.500 0.500 0.500
0.500 0.500 0.000
0.875 0.125 0.750
0.125 0.875 0.250

=====

CaMn6O5F7 PBE+U relaxed; total magnetization = 27.00 μB/cell; energy above the most stable polymorph in this dataset = 0.0682 eV/atom; ΔE_f = -4659 kJ/mol of formula units
1.0
-2.589 3.279 7.484
-0.328 -4.377 3.702
4.448 0.677 3.778
Mn F O Ca
6 7 5 1
direct
0.839 0.688 0.653
0.206 0.665 0.525
0.984 0.017 0.999
0.704 0.330 0.339
0.143 0.244 0.321
0.536 0.022 0.086
0.427 0.422 0.460
0.233 0.972 0.951
0.361 0.367 0.021
0.641 0.644 0.027
0.622 0.017 0.681
0.078 0.365 0.674
0.056 0.667 0.289
0.330 0.922 0.406
0.007 0.841 0.735
0.948 0.211 0.236
0.709 0.535 0.532
0.735 0.107 0.116
0.457 0.715 0.750

=====

Li2FeP4O13 PBE+U relaxed; total magnetization = 8.00 μB/cell; ΔE_f = -4716 kJ/mol of formula units
1.0
-3.774 -2.800 2.006
3.504 -2.118 6.898
-4.915 9.769 8.340
O Li P Fe
26 4 8 2
direct
0.172 0.149 0.364
0.807 0.471 0.083
0.232 0.527 0.381
0.072 0.827 0.059
0.504 0.399 0.789
0.032 0.747 0.247
0.261 0.719 0.552
0.739 0.281 0.448
0.846 0.960 0.831
0.694 0.964 0.155
0.968 0.253 0.753
0.828 0.851 0.636
0.154 0.040 0.169
0.496 0.601 0.211
0.193 0.529 0.917
0.143 0.642 0.738
0.768 0.473 0.619
0.546 0.701 0.815
0.416 0.813 0.330
0.454 0.299 0.185
0.857 0.358 0.262
0.928 0.173 0.941
0.729 0.064 0.337
0.271 0.936 0.663
0.584 0.187 0.670
0.306 0.036 0.845
0.076 0.326 0.006
0.653 0.671 0.528
0.924 0.674 0.994
0.347 0.329 0.472
0.350 0.575 0.820
0.004 0.098 0.846
0.996 0.902 0.154
0.297 0.667 0.301
0.703 0.333 0.699
0.129 0.793 0.641
0.650 0.425 0.180
0.871 0.207 0.359
0.569 0.944 0.741
0.431 0.056 0.259

=====

MgFe6O6F6 PBE+U relaxed; total magnetization = 28.00 μB/cell; energy above the most stable polymorph in this dataset = 0.0096 eV/atom; ΔE_f = -3912 kJ/mol of formula units
1.0
-3.489 0.474 3.694
9.348 -8.011 7.535
1.224 2.763 0.804
O Fe F Mg
6 6 6 1
direct
0.356 0.087 0.050
0.173 0.928 0.477
0.278 0.768 0.905
0.610 0.582 0.815
0.685 0.241 0.144
0.394 0.407 0.227
0.935 0.683 0.865
0.053 0.988 0.006
0.431 0.832 0.435
0.538 0.145 0.575
0.433 0.539 0.294
0.047 0.316 0.180
0.854 0.067 0.543
0.103 0.593 0.322
0.914 0.401 0.721
0.746 0.754 0.398
0.673 0.910 0.970
0.238 0.245 0.644
0.554 0.345 0.698